[1]
The following is a DFT calculation (PBE-GGA) of a relaxed structure of Nb5As3.

Summary:
Space group ... Pnma
ΔH_f (0 K) ... -565 meV/atom

Cell lengths 26.3309, 3.5407, 11.8863 Å; angles 90.00, 90.00, 90.00 degrees
Atoms (fractional coordinates):
Nb 0.0017 0.2500 0.1056
Nb 0.0331 0.2500 0.4166
Nb 0.0462 0.2500 0.6967
Nb 0.1026 0.7500 0.0673
Nb 0.1235 0.7500 0.7890
Nb 0.1367 0.7500 0.3524
Nb 0.1509 0.2500 0.5558
Nb 0.1769 0.2500 0.9605
Nb 0.2241 0.7500 0.1189
Nb 0.2388 0.2500 0.3449
Nb 0.2612 0.7500 0.8449
Nb 0.2759 0.2500 0.6189
Nb 0.3231 0.7500 0.4605
Nb 0.3491 0.7500 0.0558
Nb 0.3633 0.2500 0.8524
Nb 0.3765 0.2500 0.2890
Nb 0.3974 0.2500 0.5673
Nb 0.4538 0.7500 0.1967
Nb 0.4669 0.7500 0.9166
Nb 0.4983 0.7500 0.6056
Nb 0.5017 0.2500 0.3944
Nb 0.5331 0.2500 0.0834
Nb 0.5462 0.2500 0.8033
Nb 0.6026 0.7500 0.4327
Nb 0.6235 0.7500 0.7110
Nb 0.6367 0.7500 0.1476
Nb 0.6509 0.2500 0.9442
Nb 0.6769 0.2500 0.5395
Nb 0.7241 0.7500 0.3811
Nb 0.7388 0.2500 0.1551
Nb 0.7612 0.7500 0.6551
Nb 0.7759 0.2500 0.8811
Nb 0.8231 0.7500 0.0395
Nb 0.8491 0.7500 0.4442
Nb 0.8633 0.2500 0.6476
Nb 0.8765 0.2500 0.2110
Nb 0.8974 0.2500 0.9327
Nb 0.9538 0.7500 0.3033
Nb 0.9669 0.7500 0.5834
Nb 0.9983 0.7500 0.8944
As 0.0491 0.7500 0.2491
As 0.0725 0.2500 0.9196
As 0.0764 0.7500 0.5519
As 0.1567 0.2500 0.1923
As 0.1976 0.2500 0.7470
As 0.2202 0.7500 0.5035
As 0.2798 0.2500 0.0035
As 0.3024 0.7500 0.2470
As 0.3433 0.7500 0.6923
As 0.4236 0.2500 0.0519
As 0.4275 0.7500 0.4196
As 0.4509 0.2500 0.7491
As 0.5491 0.7500 0.2509
As 0.5725 0.2500 0.5804
As 0.5764 0.7500 0.9481
As 0.6567 0.2500 0.3077
As 0.6976 0.2500 0.7530
As 0.7202 0.7500 0.9965
As 0.7798 0.2500 0.4965
As 0.8024 0.7500 0.2530
As 0.8433 0.7500 0.8077
As 0.9236 0.2500 0.4481
As 0.9275 0.7500 0.0804
As 0.9509 0.2500 0.7509

[2]
The following is a DFT calculation (PBE-GGA) of a relaxed structure of GdZr3F15.

Summary:
Space group ... C2/c
ΔH_f (0 K) ... -4098 meV/atom
Offset from the most stable computed form ... 2.1 meV/atom

Cell lengths 8.2573, 8.2573, 8.2356 Å; angles 100.14, 100.14, 100.31 degrees
Atoms (fractional coordinates):
Gd 0.1772 0.8228 0.7500
Gd 0.8228 0.1772 0.2500
Zr 0.2490 0.7510 0.2500
Zr 0.2532 0.3229 0.6760
Zr 0.3229 0.2532 0.1760
Zr 0.6771 0.7468 0.8240
Zr 0.7468 0.6771 0.3240
Zr 0.7510 0.2490 0.7500
F 0.0058 0.2749 0.7793
F 0.0477 0.2537 0.4739
F 0.0667 0.1872 0.1494
F 0.1543 0.5353 0.6830
F 0.1872 0.0667 0.6494
F 0.2255 0.4940 0.2248
F 0.2267 0.7170 0.9975
F 0.2537 0.0477 0.9739
F 0.2749 0.0058 0.2793
F 0.2830 0.7733 0.5025
F 0.3154 0.3489 0.9472
F 0.3489 0.3154 0.4472
F 0.4647 0.8457 0.8170
F 0.4659 0.5341 0.7500
F 0.4940 0.2255 0.7248
F 0.5060 0.7745 0.2752
F 0.5341 0.4659 0.2500
F 0.5353 0.1543 0.1830
F 0.6511 0.6846 0.5528
F 0.6846 0.6511 0.0528
F 0.7170 0.2267 0.4975
F 0.7251 0.9942 0.7207
F 0.7463 0.9523 0.0261
F 0.7733 0.2830 0.0025
F 0.7745 0.5060 0.7752
F 0.8128 0.9333 0.3506
F 0.8457 0.4647 0.3170
F 0.9333 0.8128 0.8506
F 0.9523 0.7463 0.5261
F 0.9942 0.7251 0.2207

[3]
The following is a DFT calculation (PBE-GGA) of a relaxed structure of Rb3P11.

Summary:
Space group ... C2/m
ΔH_f (0 K) ... -45 meV/atom
Offset from the most stable computed form ... 273.8 meV/atom

Cell lengths 5.7322, 5.7322, 41.0787 Å; angles 94.83, 94.83, 34.20 degrees
Atoms (fractional coordinates):
Rb 0.0525 0.0525 0.1445
Rb 0.1544 0.1544 0.5504
Rb 0.4027 0.4027 0.3071
Rb 0.5973 0.5973 0.6929
Rb 0.8456 0.8456 0.4496
Rb 0.9475 0.9475 0.8555
P 0.0016 0.0016 0.0274
P 0.0681 0.0681 0.2514
P 0.1041 0.1041 0.4174
P 0.1248 0.1248 0.3642
P 0.2245 0.2245 0.7963
P 0.2699 0.2699 0.9100
P 0.2982 0.2982 0.7466
P 0.3551 0.3551 0.0836
P 0.3626 0.3626 0.0290
P 0.4099 0.4099 0.2080
P 0.4893 0.4893 0.6144
P 0.5107 0.5107 0.3856
P 0.5901 0.5901 0.7920
P 0.6374 0.6374 0.9710
P 0.6449 0.6449 0.9164
P 0.7018 0.7018 0.2534
P 0.7301 0.7301 0.0900
P 0.7755 0.7755 0.2037
P 0.8752 0.8752 0.6358
P 0.8959 0.8959 0.5826
P 0.9319 0.9319 0.7486
P 0.9984 0.9984 0.9726

[4]
The following is a DFT calculation (PBE-GGA) of a relaxed structure of GaMo4CS8.

Summary:
Space group ... F-43m
ΔH_f (0 K) ... -553 meV/atom

Cell lengths 7.2038, 7.2038, 7.2038 Å; angles 60.00, 60.00, 60.00 degrees
Atoms (fractional coordinates):
Ga 0.0000 0.0000 0.0000
Mo 0.4028 0.4028 0.4028
Mo 0.4028 0.4028 0.7917
Mo 0.4028 0.7917 0.4028
Mo 0.7917 0.4028 0.4028
C 0.2500 0.2500 0.2500
S 0.1099 0.6300 0.6300
S 0.1435 0.1435 0.1435
S 0.1435 0.1435 0.5696
S 0.1435 0.5696 0.1435
S 0.5696 0.1435 0.1435
S 0.6300 0.1099 0.6300
S 0.6300 0.6300 0.1099
S 0.6300 0.6300 0.6300

[5]
The following is a DFT calculation (PBE-GGA) of a relaxed structure of TiCuSiAs.

Summary:
Space group ... P4/nmm
ΔH_f (0 K) ... -472 meV/atom

Cell lengths 3.5694, 3.5694, 9.2428 Å; angles 90.00, 90.00, 90.00 degrees
Atoms (fractional coordinates):
Ti 0.2500 0.2500 0.2167
Ti 0.7500 0.7500 0.7833
Cu 0.2500 0.7500 0.5000
Cu 0.7500 0.2500 0.5000
Si 0.2500 0.7500 0.0000
Si 0.7500 0.2500 0.0000
As 0.2500 0.2500 0.6929
As 0.7500 0.7500 0.3071

[6]
The following is a DFT calculation (PBE-GGA) of a relaxed structure of Na14Mg2Si9Sn6S3O48.

Summary:
Space group ... P1
ΔH_f (0 K) ... -2491 meV/atom

Cell lengths 9.1260, 15.7176, 22.4851 Å; angles 90.05, 90.30, 90.12 degrees
Atoms (fractional coordinates):
Na 0.0000 0.0000 0.0000
Na 0.9996 0.9619 0.6690
Na 0.0054 0.6543 0.3338
Na 0.1182 0.1552 0.8391
Na 0.1224 0.4996 0.4964
Na 0.1283 0.7976 0.8371
Na 0.1289 0.8243 0.1721
Na 0.1306 0.4627 0.1729
Na 0.1404 0.1184 0.4997
Na 0.1762 0.4827 0.8417
Na 0.1845 0.8174 0.5039
Na 0.3044 0.6390 0.4195
Na 0.3098 0.3129 0.2513
Na 0.3099 0.9734 0.5801
Na 0.3160 0.6412 0.9211
Na 0.3170 0.9833 0.0864
Na 0.3205 0.3206 0.7497
Na 0.4354 0.4800 0.3290
Na 0.4423 0.1484 0.6699
Na 0.4510 0.8159 0.0026
Na 0.4886 0.1255 0.0052
Na 0.4907 0.7966 0.3298
Na 0.4926 0.1589 0.3393
Na 0.5082 0.4948 0.0028
Na 0.6134 0.9941 0.4960
Na 0.6289 0.2988 0.8346
Na 0.6295 0.6572 0.8426
Na 0.6328 0.6237 0.5022
Na 0.6688 0.3180 0.4981
Na 0.6732 0.6428 0.1688
Na 0.6829 0.9778 0.8388
Na 0.8022 0.8181 0.2481
Na 0.8051 0.4841 0.5851
Na 0.8062 0.1428 0.4163
Na 0.8056 0.4748 0.0844
Na 0.8153 0.8055 0.7561
Na 0.8168 0.1409 0.9237
Na 0.9398 0.3193 0.0077
Na 0.9457 0.9825 0.3386
Na 0.9838 0.6185 0.0039
Na 0.9931 0.2997 0.3331
Na 0.9941 0.3267 0.6720
Mg 0.3026 0.6389 0.2642
Mg 0.3088 0.9779 0.9386
Mg 0.3169 0.9841 0.4417
Mg 0.8047 0.4851 0.9432
Mg 0.8113 0.4779 0.4365
Mg 0.8222 0.1460 0.7688
Si 0.0110 0.9815 0.8405
Si 0.0166 0.6469 0.1720
Si 0.1053 0.4819 0.3406
Si 0.1082 0.1454 0.6726
Si 0.1591 0.7905 0.6694
Si 0.1599 0.4634 0.0050
Si 0.1601 0.4991 0.6704
Si 0.1674 0.1226 0.3406
Si 0.1699 0.1646 0.0027
Si 0.4519 0.7922 0.1750
Si 0.4542 0.8334 0.8379
Si 0.4581 0.1667 0.5066
Si 0.4600 0.4592 0.5039
Si 0.4626 0.4932 0.1737
Si 0.5163 0.8107 0.5066
Si 0.5184 0.4765 0.8382
Si 0.6033 0.9768 0.3389
Si 0.6081 0.3102 0.0054
Si 0.6614 0.6668 0.0056
Si 0.6621 0.9591 0.0034
Si 0.6691 0.2916 0.6750
Si 0.6690 0.3326 0.3389
Si 0.9544 0.6230 0.8402
Si 0.9547 0.6620 0.5009
Si 0.9596 0.9620 0.5061
Si 0.9610 0.9990 0.1707
Si 0.9632 0.2892 0.1693
Sn 0.2962 0.9692 0.7366
Sn 0.3001 0.6439 0.7729
Sn 0.2998 0.6452 0.5670
Sn 0.3084 0.3142 0.1050
Sn 0.3160 0.9815 0.2347
Sn 0.3189 0.6401 0.0752
Sn 0.3204 0.3179 0.9112
Sn 0.3225 0.3147 0.3988
Sn 0.3252 0.3153 0.6098
Sn 0.7958 0.8142 0.1103
Sn 0.8007 0.8136 0.9006
Sn 0.8021 0.8158 0.4085
Sn 0.8056 0.4813 0.7352
Sn 0.8126 0.1459 0.5716
Sn 0.8161 0.4686 0.2315
Sn 0.8189 0.8072 0.6014
Sn 0.8207 0.1440 0.2724
Sn 0.8225 0.1453 0.0673
S 0.0196 0.3117 0.5047
S 0.1031 0.8117 0.0041
S 0.1636 0.8317 0.3394
S 0.4571 0.1249 0.8366
S 0.5192 0.1454 0.1702
S 0.6039 0.6470 0.6703
S 0.6622 0.9970 0.6726
S 0.6652 0.6265 0.3384
S 0.9581 0.3310 0.8384
O 0.0040 0.4963 0.3980
O 0.0047 0.4617 0.2798
O 0.0074 0.1219 0.6125
O 0.0102 0.1625 0.7299
O 0.0110 0.7971 0.9496
O 0.0113 0.8252 0.0575
O 0.1046 0.9598 0.7780
O 0.1104 0.2960 0.4513
O 0.1096 0.3235 0.5591
O 0.1116 0.6685 0.2301
O 0.1155 0.6273 0.1113
O 0.1184 0.9992 0.8957
O 0.1234 0.3206 0.8416
O 0.1346 0.6357 0.8334
O 0.1354 0.6594 0.5047
O 0.1348 0.9675 0.5009
O 0.1398 0.9864 0.1779
O 0.1423 0.2994 0.1662
O 0.1825 0.8844 0.2845
O 0.1843 0.0639 0.3983
O 0.1871 0.2258 0.9411
O 0.1873 0.4012 0.0617
O 0.1869 0.5551 0.6104
O 0.1883 0.7365 0.7298
O 0.1955 0.7339 0.0081
O 0.1968 0.8882 0.9988
O 0.2032 0.3913 0.3425
O 0.2085 0.2315 0.6639
O 0.2142 0.5647 0.3345
O 0.2214 0.0615 0.6777
O 0.2245 0.4011 0.6644
O 0.2252 0.8733 0.3922
O 0.2314 0.7466 0.3340
O 0.2308 0.8877 0.6718
O 0.2328 0.7504 0.6099
O 0.2395 0.2196 0.3448
O 0.2397 0.5376 0.7299
O 0.2413 0.0708 0.9984
O 0.2411 0.5582 0.0091
O 0.2449 0.4265 0.9441
O 0.2517 0.0834 0.2817
O 0.2521 0.2098 0.0586
O 0.3701 0.4210 0.4456
O 0.3711 0.8871 0.1761
O 0.3740 0.7538 0.1127
O 0.3760 0.8713 0.8956
O 0.3776 0.2090 0.5645
O 0.3805 0.4002 0.1665
O 0.3818 0.5537 0.5106
O 0.3845 0.2111 0.8398
O 0.3837 0.5348 0.2304
O 0.3857 0.7366 0.8278
O 0.3887 0.0727 0.5030
O 0.3914 0.0862 0.7812
O 0.4074 0.3887 0.8410
O 0.4125 0.8926 0.4995
O 0.4148 0.5625 0.8295
O 0.4213 0.7219 0.5123
O 0.4260 0.0670 0.1734
O 0.4259 0.2218 0.1664
O 0.4271 0.7345 0.2329
O 0.4298 0.0725 0.8894
O 0.4346 0.3963 0.5605
O 0.4391 0.2282 0.4475
O 0.4412 0.8991 0.7798
O 0.4468 0.5519 0.1120
O 0.4789 0.6639 0.0099
O 0.4863 0.9682 0.9970
O 0.4876 0.3218 0.3391
O 0.4894 0.2966 0.6692
O 0.4947 0.3292 0.0588
O 0.4993 0.9923 0.6767
O 0.5002 0.9539 0.2808
O 0.5052 0.6392 0.3336
O 0.5107 0.9933 0.3980
O 0.5135 0.6349 0.6160
O 0.5146 0.2841 0.9428
O 0.5153 0.6578 0.7248
O 0.6085 0.1559 0.2253
O 0.6097 0.1329 0.1163
O 0.6124 0.7857 0.4462
O 0.6141 0.4933 0.8966
O 0.6181 0.1356 0.8309
O 0.6195 0.4532 0.7795
O 0.6277 0.8320 0.5626
O 0.6319 0.7968 0.1691
O 0.6350 0.8233 0.8386
O 0.6357 0.4687 0.4980
O 0.6414 0.1610 0.5123
O 0.6428 0.4934 0.1773
O 0.6814 0.7271 0.9453
O 0.6850 0.0489 0.6169
O 0.6863 0.3971 0.2823
O 0.6900 0.8955 0.0590
O 0.6928 0.2306 0.7315
O 0.6930 0.5750 0.3919
O 0.6980 0.5695 0.6734
O 0.6979 0.7248 0.6666
O 0.7028 0.2209 0.0104
O 0.7081 0.0622 0.3303
O 0.7114 0.3922 0.9977
O 0.7136 0.8891 0.3412
O 0.7292 0.0383 0.7246
O 0.7315 0.5892 0.2844
O 0.7320 0.9120 0.6671
O 0.7325 0.5737 0.0018
O 0.7366 0.2350 0.3296
O 0.7398 0.7140 0.3423
O 0.7406 0.0537 0.0099
O 0.7433 0.3678 0.3990
O 0.7446 0.7105 0.0625
O 0.7479 0.2523 0.6133
O 0.7501 0.9226 0.9439
O 0.7509 0.3857 0.6766
O 0.8708 0.5850 0.7799
O 0.8728 0.7032 0.5589
O 0.8745 0.9233 0.4466
O 0.8767 0.0565 0.5103
O 0.8824 0.5687 0.4977
O 0.8827 0.0372 0.2303
O 0.8828 0.7202 0.8440
O 0.8841 0.2497 0.1101
O 0.8893 0.2457 0.8324
O 0.8961 0.3723 0.8906
O 0.8957 0.3859 0.1712
O 0.8966 0.9013 0.1644
O 0.9007 0.0630 0.8319
O 0.9106 0.5620 0.1771
O 0.9131 0.7325 0.1636
O 0.9148 0.8912 0.8428
O 0.9245 0.3867 0.5001
O 0.9259 0.2322 0.5086
O 0.9310 0.9041 0.5658
O 0.9316 0.2354 0.2301
O 0.9347 0.0545 0.1103
O 0.9357 0.7271 0.4427
O 0.9367 0.5631 0.8968
O 0.9382 0.3833 0.7830
O 0.9769 0.8059 0.6667
O 0.9814 0.4858 0.6777
O 0.9851 0.4683 0.9986
O 0.9873 0.1347 0.3337
O 0.9886 0.1595 0.0051
O 0.9973 0.8218 0.3426

Please write out number 4 again, unchanged.
The following is a DFT calculation (PBE-GGA) of a relaxed structure of GaMo4CS8.

Summary:
Space group ... F-43m
ΔH_f (0 K) ... -553 meV/atom

Cell lengths 7.2038, 7.2038, 7.2038 Å; angles 60.00, 60.00, 60.00 degrees
Atoms (fractional coordinates):
Ga 0.0000 0.0000 0.0000
Mo 0.4028 0.4028 0.4028
Mo 0.4028 0.4028 0.7917
Mo 0.4028 0.7917 0.4028
Mo 0.7917 0.4028 0.4028
C 0.2500 0.2500 0.2500
S 0.1099 0.6300 0.6300
S 0.1435 0.1435 0.1435
S 0.1435 0.1435 0.5696
S 0.1435 0.5696 0.1435
S 0.5696 0.1435 0.1435
S 0.6300 0.1099 0.6300
S 0.6300 0.6300 0.1099
S 0.6300 0.6300 0.6300

Repeat the first record exactly.
The following is a DFT calculation (PBE-GGA) of a relaxed structure of Nb5As3.

Summary:
Space group ... Pnma
ΔH_f (0 K) ... -565 meV/atom

Cell lengths 26.3309, 3.5407, 11.8863 Å; angles 90.00, 90.00, 90.00 degrees
Atoms (fractional coordinates):
Nb 0.0017 0.2500 0.1056
Nb 0.0331 0.2500 0.4166
Nb 0.0462 0.2500 0.6967
Nb 0.1026 0.7500 0.0673
Nb 0.1235 0.7500 0.7890
Nb 0.1367 0.7500 0.3524
Nb 0.1509 0.2500 0.5558
Nb 0.1769 0.2500 0.9605
Nb 0.2241 0.7500 0.1189
Nb 0.2388 0.2500 0.3449
Nb 0.2612 0.7500 0.8449
Nb 0.2759 0.2500 0.6189
Nb 0.3231 0.7500 0.4605
Nb 0.3491 0.7500 0.0558
Nb 0.3633 0.2500 0.8524
Nb 0.3765 0.2500 0.2890
Nb 0.3974 0.2500 0.5673
Nb 0.4538 0.7500 0.1967
Nb 0.4669 0.7500 0.9166
Nb 0.4983 0.7500 0.6056
Nb 0.5017 0.2500 0.3944
Nb 0.5331 0.2500 0.0834
Nb 0.5462 0.2500 0.8033
Nb 0.6026 0.7500 0.4327
Nb 0.6235 0.7500 0.7110
Nb 0.6367 0.7500 0.1476
Nb 0.6509 0.2500 0.9442
Nb 0.6769 0.2500 0.5395
Nb 0.7241 0.7500 0.3811
Nb 0.7388 0.2500 0.1551
Nb 0.7612 0.7500 0.6551
Nb 0.7759 0.2500 0.8811
Nb 0.8231 0.7500 0.0395
Nb 0.8491 0.7500 0.4442
Nb 0.8633 0.2500 0.6476
Nb 0.8765 0.2500 0.2110
Nb 0.8974 0.2500 0.9327
Nb 0.9538 0.7500 0.3033
Nb 0.9669 0.7500 0.5834
Nb 0.9983 0.7500 0.8944
As 0.0491 0.7500 0.2491
As 0.0725 0.2500 0.9196
As 0.0764 0.7500 0.5519
As 0.1567 0.2500 0.1923
As 0.1976 0.2500 0.7470
As 0.2202 0.7500 0.5035
As 0.2798 0.2500 0.0035
As 0.3024 0.7500 0.2470
As 0.3433 0.7500 0.6923
As 0.4236 0.2500 0.0519
As 0.4275 0.7500 0.4196
As 0.4509 0.2500 0.7491
As 0.5491 0.7500 0.2509
As 0.5725 0.2500 0.5804
As 0.5764 0.7500 0.9481
As 0.6567 0.2500 0.3077
As 0.6976 0.2500 0.7530
As 0.7202 0.7500 0.9965
As 0.7798 0.2500 0.4965
As 0.8024 0.7500 0.2530
As 0.8433 0.7500 0.8077
As 0.9236 0.2500 0.4481
As 0.9275 0.7500 0.0804
As 0.9509 0.2500 0.7509